Entry 1:
Material: KV2SbO8
Method: DFT, GGA+U
State: relaxed

Lattice parameters (Å, degrees): 14.890 5.643 8.657 90.00 90.00 90.00
Atoms (fractional coordinates):
K (0.119, 0.250, 0.050)
K (0.381, 0.750, 0.550)
K (0.619, 0.250, 0.450)
K (0.881, 0.750, 0.950)
V (0.027, 0.750, 0.293)
V (0.216, 0.250, 0.491)
V (0.284, 0.750, 0.991)
V (0.473, 0.250, 0.793)
V (0.527, 0.750, 0.207)
V (0.716, 0.250, 0.009)
V (0.784, 0.750, 0.509)
V (0.973, 0.250, 0.707)
Sb (0.118, 0.750, 0.687)
Sb (0.382, 0.250, 0.187)
Sb (0.618, 0.750, 0.813)
Sb (0.882, 0.250, 0.313)
O (0.036, 0.503, 0.775)
O (0.036, 0.997, 0.775)
O (0.045, 0.750, 0.493)
O (0.122, 0.750, 0.198)
O (0.135, 0.250, 0.365)
O (0.179, 0.750, 0.892)
O (0.205, 0.510, 0.609)
O (0.205, 0.990, 0.609)
O (0.295, 0.010, 0.109)
O (0.295, 0.490, 0.109)
O (0.321, 0.250, 0.392)
O (0.365, 0.750, 0.865)
O (0.378, 0.250, 0.698)
O (0.455, 0.250, 0.993)
O (0.464, 0.003, 0.275)
O (0.464, 0.497, 0.275)
O (0.536, 0.503, 0.725)
O (0.536, 0.997, 0.725)
O (0.545, 0.750, 0.007)
O (0.622, 0.750, 0.302)
O (0.635, 0.250, 0.135)
O (0.679, 0.750, 0.608)
O (0.705, 0.510, 0.891)
O (0.705, 0.990, 0.891)
O (0.795, 0.010, 0.391)
O (0.795, 0.490, 0.391)
O (0.821, 0.250, 0.108)
O (0.865, 0.750, 0.635)
O (0.878, 0.250, 0.802)
O (0.955, 0.250, 0.507)
O (0.964, 0.003, 0.225)
O (0.964, 0.497, 0.225)

Summary:
Uncorrected energy in eV/atom: -6.748
Theoretical density in g/cm³: 3.568
Total magnetic moment in μB/atom: 0.001
Formation energy from the elements in eV per atom: -2.24



Entry 2:
Material: KSmV4O12
Method: DFT, GGA+U
State: relaxed

Lattice parameters (Å, degrees): 7.230 6.083 6.083 72.65 90.00 90.00
Atoms (fractional coordinates):
K (0.000, 0.000, 0.000)
Sm (0.500, 0.456, 0.456)
V (0.253, 0.492, 0.979)
V (0.253, 0.979, 0.492)
V (0.747, 0.492, 0.979)
V (0.747, 0.979, 0.492)
O (0.000, 0.023, 0.488)
O (0.000, 0.488, 0.023)
O (0.236, 0.787, 0.787)
O (0.267, 0.290, 0.290)
O (0.284, 0.335, 0.797)
O (0.284, 0.797, 0.335)
O (0.500, 0.045, 0.563)
O (0.500, 0.563, 0.045)
O (0.716, 0.335, 0.797)
O (0.716, 0.797, 0.335)
O (0.733, 0.290, 0.290)
O (0.764, 0.787, 0.787)

Summary:
Uncorrected energy in eV/atom: -7.345
Theoretical density in g/cm³: 3.805
Total magnetic moment in μB/atom: 0.000
Formation energy from the elements in eV per atom: -2.54



Entry 3:
Material: KTbSnWO6
Method: DFT, GGA+U
State: relaxed

Lattice parameters (Å, degrees): 5.942 5.942 5.942 60.00 60.00 60.00
Atoms (fractional coordinates):
K (0.000, 0.000, 0.000)
Tb (0.250, 0.250, 0.250)
Sn (0.500, 0.500, 0.500)
W (0.750, 0.750, 0.750)
O (0.518, 0.518, 0.982)
O (0.518, 0.982, 0.518)
O (0.518, 0.982, 0.982)
O (0.982, 0.518, 0.518)
O (0.982, 0.518, 0.982)
O (0.982, 0.982, 0.518)

Summary:
Energy above the most stable polymorph in this dataset in meV per atom: 8.1
Uncorrected energy in eV/atom: -6.859
Theoretical density in g/cm³: 6.679
Total magnetic moment in μB/atom: 0.000
Formation energy from the elements in eV per atom: -2.47



Entry 4:
Material: KTbSnWO6
Method: DFT, GGA+U
State: relaxed

Lattice parameters (Å, degrees): 5.950 5.950 8.390 90.00 90.00 90.00
Atoms (fractional coordinates):
K (0.000, 0.000, 0.250)
K (0.000, 0.000, 0.750)
Tb (0.000, 0.500, 0.000)
Tb (0.500, 0.000, 0.500)
Sn (0.500, 0.500, 0.250)
Sn (0.500, 0.500, 0.750)
W (0.000, 0.500, 0.500)
W (0.500, 0.000, 0.000)
O (0.000, 0.500, 0.268)
O (0.000, 0.500, 0.732)
O (0.239, 0.274, 0.500)
O (0.239, 0.726, 0.500)
O (0.274, 0.239, 0.000)
O (0.274, 0.761, 0.000)
O (0.500, 0.000, 0.232)
O (0.500, 0.000, 0.768)
O (0.726, 0.239, 0.000)
O (0.726, 0.761, 0.000)
O (0.761, 0.274, 0.500)
O (0.761, 0.726, 0.500)

Summary:
Energy above the most stable polymorph in this dataset in meV per atom: 0.0
Uncorrected energy in eV/atom: -6.867
Theoretical density in g/cm³: 6.670
Total magnetic moment in μB/atom: 0.000
Formation energy from the elements in eV per atom: -2.48



Entry 5:
Material: KYSnWO6
Method: DFT, GGA+U
State: relaxed

Lattice parameters (Å, degrees): 5.931 5.931 5.931 60.00 60.00 60.00
Atoms (fractional coordinates):
K (0.000, 0.000, 0.000)
Y (0.750, 0.750, 0.750)
Sn (0.500, 0.500, 0.500)
W (0.250, 0.250, 0.250)
O (0.017, 0.017, 0.483)
O (0.017, 0.483, 0.017)
O (0.017, 0.483, 0.483)
O (0.483, 0.017, 0.017)
O (0.483, 0.017, 0.483)
O (0.483, 0.483, 0.017)

Summary:
Uncorrected energy in eV/atom: -7.041
Theoretical density in g/cm³: 5.925
Total magnetic moment in μB/atom: 0.000
Formation energy from the elements in eV per atom: -2.47



Entry 6:
Material: KSrTbWO6
Method: DFT, GGA+U
State: relaxed

Lattice parameters (Å, degrees): 5.944 5.944 5.944 60.00 60.00 60.00
Atoms (fractional coordinates):
K (0.000, 0.000, 0.000)
Sr (0.500, 0.500, 0.500)
Tb (0.250, 0.250, 0.250)
W (0.750, 0.750, 0.750)
O (0.518, 0.518, 0.982)
O (0.518, 0.982, 0.518)
O (0.518, 0.982, 0.982)
O (0.982, 0.518, 0.518)
O (0.982, 0.518, 0.982)
O (0.982, 0.982, 0.518)

Summary:
Uncorrected energy in eV/atom: -7.094
Theoretical density in g/cm³: 6.324
Total magnetic moment in μB/atom: 0.000
Formation energy from the elements in eV per atom: -2.94



Entry 7:
Material: K2SrV3O9
Method: DFT, GGA+U
State: relaxed

Lattice parameters (Å, degrees): 10.434 5.507 16.371 90.00 90.00 90.00
Atoms (fractional coordinates):
K (0.029, 0.250, 0.068)
K (0.029, 0.750, 0.211)
K (0.471, 0.250, 0.711)
K (0.471, 0.750, 0.568)
K (0.529, 0.250, 0.432)
K (0.529, 0.750, 0.289)
K (0.971, 0.250, 0.789)
K (0.971, 0.750, 0.932)
Sr (0.033, 0.750, 0.616)
Sr (0.467, 0.250, 0.116)
Sr (0.533, 0.750, 0.884)
Sr (0.967, 0.250, 0.384)
V (0.190, 0.250, 0.543)
V (0.209, 0.750, 0.406)
V (0.249, 0.750, 0.773)
V (0.251, 0.250, 0.273)
V (0.291, 0.250, 0.906)
V (0.310, 0.750, 0.043)
V (0.690, 0.250, 0.957)
V (0.709, 0.750, 0.094)
V (0.749, 0.750, 0.727)
V (0.751, 0.250, 0.227)
V (0.791, 0.250, 0.594)
V (0.810, 0.750, 0.457)
O (0.085, 0.750, 0.782)
O (0.097, 0.250, 0.630)
O (0.133, 0.250, 0.918)
O (0.141, 0.510, 0.486)
O (0.141, 0.990, 0.486)
O (0.150, 0.750, 0.060)
O (0.173, 0.502, 0.321)
O (0.173, 0.998, 0.321)
O (0.226, 0.250, 0.170)
O (0.274, 0.750, 0.670)
O (0.327, 0.002, 0.821)
O (0.327, 0.498, 0.821)
O (0.350, 0.250, 0.560)
O (0.359, 0.010, 0.986)
O (0.359, 0.490, 0.986)
O (0.367, 0.750, 0.418)
O (0.403, 0.750, 0.130)
O (0.415, 0.250, 0.282)
O (0.585, 0.750, 0.718)
O (0.597, 0.250, 0.870)
O (0.633, 0.250, 0.582)
O (0.641, 0.510, 0.014)
O (0.641, 0.990, 0.014)
O (0.650, 0.750, 0.440)
O (0.673, 0.502, 0.179)
O (0.673, 0.998, 0.179)
O (0.726, 0.250, 0.330)
O (0.774, 0.750, 0.830)
O (0.827, 0.002, 0.679)
O (0.827, 0.498, 0.679)
O (0.850, 0.250, 0.940)
O (0.859, 0.010, 0.514)
O (0.859, 0.490, 0.514)
O (0.867, 0.750, 0.082)
O (0.903, 0.750, 0.370)
O (0.915, 0.250, 0.218)

Summary:
Uncorrected energy in eV/atom: -6.911
Theoretical density in g/cm³: 3.267
Total magnetic moment in μB/atom: 0.067
Formation energy from the elements in eV per atom: -2.62



Entry 8:
Material: KTaW2O9
Method: DFT, GGA+U
State: relaxed

Lattice parameters (Å, degrees): 3.909 13.036 13.051 60.09 89.97 89.97
Atoms (fractional coordinates):
K (0.000, 0.000, 0.000)
K (0.000, 0.348, 0.355)
K (0.821, 0.670, 0.678)
Ta (0.444, 0.338, 0.844)
Ta (0.471, 0.505, 0.517)
Ta (0.471, 0.836, 0.845)
W (0.429, 0.504, 0.013)
W (0.431, 0.006, 0.512)
W (0.431, 0.840, 0.343)
W (0.491, 0.671, 0.179)
W (0.493, 0.172, 0.679)
W (0.496, 0.173, 0.178)
O (0.461, 0.128, 0.553)
O (0.462, 0.208, 0.802)
O (0.462, 0.469, 0.681)
O (0.462, 0.549, 0.136)
O (0.462, 0.663, 0.890)
O (0.462, 0.797, 0.220)
O (0.462, 0.881, 0.671)
O (0.463, 0.128, 0.345)
O (0.463, 0.680, 0.465)
O (0.464, 0.006, 0.797)
O (0.464, 0.336, 0.557)
O (0.464, 0.337, 0.139)
O (0.464, 0.456, 0.898)
O (0.464, 0.553, 0.341)
O (0.464, 0.794, 0.013)
O (0.465, 0.007, 0.221)
O (0.465, 0.212, 0.018)
O (0.466, 0.887, 0.462)
O (0.956, 0.007, 0.508)
O (0.956, 0.500, 0.020)
O (0.957, 0.843, 0.339)
O (0.959, 0.328, 0.847)
O (0.964, 0.510, 0.509)
O (0.964, 0.832, 0.839)
O (0.968, 0.674, 0.177)
O (0.969, 0.171, 0.674)
O (0.970, 0.171, 0.183)

Summary:
Uncorrected energy in eV/atom: -7.819
Theoretical density in g/cm³: 6.323
Formation energy from the elements in eV per atom: -2.56



Entry 9:
Material: K3VO5
Method: DFT, GGA+U
State: relaxed

Lattice parameters (Å, degrees): 10.387 10.490 12.305 90.01 90.01 90.03
Atoms (fractional coordinates):
K (0.000, 0.000, 0.000)
K (0.000, 0.073, 0.499)
K (0.109, 0.389, 0.718)
K (0.109, 0.684, 0.219)
K (0.191, 0.334, 0.275)
K (0.191, 0.739, 0.775)
K (0.279, 0.240, 0.969)
K (0.279, 0.833, 0.469)
K (0.362, 0.184, 0.525)
K (0.362, 0.889, 0.025)
K (0.469, 0.500, 0.744)
K (0.470, 0.573, 0.244)
K (0.500, 0.000, 0.744)
K (0.501, 0.073, 0.244)
K (0.609, 0.389, 0.025)
K (0.609, 0.684, 0.525)
K (0.691, 0.333, 0.469)
K (0.691, 0.740, 0.969)
K (0.779, 0.239, 0.774)
K (0.779, 0.834, 0.275)
K (0.861, 0.889, 0.718)
K (0.862, 0.184, 0.218)
K (0.970, 0.500, 0.999)
K (0.970, 0.573, 0.500)
V (0.177, 0.005, 0.254)
V (0.177, 0.068, 0.754)
V (0.294, 0.505, 0.490)
V (0.294, 0.568, 0.991)
V (0.676, 0.005, 0.490)
V (0.677, 0.068, 0.990)
V (0.794, 0.505, 0.254)
V (0.794, 0.568, 0.753)
O (0.011, 0.245, 0.903)
O (0.011, 0.828, 0.402)
O (0.015, 0.127, 0.748)
O (0.015, 0.946, 0.248)
O (0.185, 0.380, 0.507)
O (0.185, 0.693, 0.007)
O (0.194, 0.112, 0.149)
O (0.194, 0.961, 0.649)
O (0.209, 0.080, 0.376)
O (0.209, 0.993, 0.876)
O (0.261, 0.492, 0.869)
O (0.262, 0.581, 0.368)
O (0.277, 0.462, 0.096)
O (0.277, 0.611, 0.596)
O (0.286, 0.193, 0.737)
O (0.286, 0.880, 0.237)
O (0.456, 0.446, 0.496)
O (0.456, 0.627, 0.996)
O (0.459, 0.745, 0.842)
O (0.460, 0.328, 0.341)
O (0.510, 0.245, 0.841)
O (0.511, 0.828, 0.341)
O (0.514, 0.946, 0.496)
O (0.515, 0.127, 0.996)
O (0.685, 0.380, 0.237)
O (0.685, 0.693, 0.737)
O (0.693, 0.111, 0.595)
O (0.694, 0.962, 0.095)
O (0.709, 0.080, 0.368)
O (0.709, 0.993, 0.868)
O (0.761, 0.492, 0.875)
O (0.762, 0.580, 0.375)
O (0.777, 0.461, 0.648)
O (0.777, 0.611, 0.148)
O (0.785, 0.880, 0.507)
O (0.786, 0.193, 0.006)
O (0.956, 0.446, 0.248)
O (0.956, 0.627, 0.747)
O (0.959, 0.745, 0.902)
O (0.960, 0.328, 0.403)

Summary:
Uncorrected energy in eV/atom: -5.456
Theoretical density in g/cm³: 2.459
Total magnetic moment in μB/atom: 0.222
Formation energy from the elements in eV per atom: -1.90



Entry 10:
Material: KVO2
Method: DFT, GGA+U
State: relaxed

Lattice parameters (Å, degrees): 3.090 6.906 5.473 67.94 90.00 77.07
Atoms (fractional coordinates):
K (0.750, 0.500, 0.750)
K (0.250, 0.500, 0.250)
V (0.000, 0.000, 0.000)
V (0.500, 0.000, 0.500)
O (0.087, 0.826, 0.420)
O (0.413, 0.174, 0.080)
O (0.913, 0.174, 0.580)
O (0.587, 0.826, 0.920)

Summary:
Uncorrected energy in eV/atom: -6.422
Theoretical density in g/cm³: 3.859
Total magnetic moment in μB/atom: 0.000
Formation energy from the elements in eV per atom: -2.17



Entry 11:
Material: KV13O20
Method: DFT, GGA+U
State: relaxed

Lattice parameters (Å, degrees): 7.641 8.585 12.907 87.39 75.15 87.56
Atoms (fractional coordinates):
K (0.001, 0.300, 0.191)
K (0.999, 0.700, 0.809)
V (0.177, 0.897, 0.145)
V (0.179, 0.298, 0.748)
V (0.183, 0.496, 0.545)
V (0.189, 0.072, 0.934)
V (0.189, 0.670, 0.331)
V (0.194, 0.032, 0.634)
V (0.196, 0.239, 0.426)
V (0.201, 0.639, 0.028)
V (0.454, 0.217, 0.099)
V (0.454, 0.810, 0.495)
V (0.457, 0.622, 0.703)
V (0.461, 0.009, 0.294)
V (0.461, 0.415, 0.897)
V (0.539, 0.585, 0.103)
V (0.539, 0.991, 0.706)
V (0.543, 0.378, 0.297)
V (0.546, 0.190, 0.505)
V (0.546, 0.783, 0.901)
V (0.799, 0.361, 0.972)
V (0.804, 0.761, 0.574)
V (0.806, 0.968, 0.366)
V (0.811, 0.330, 0.669)
V (0.811, 0.928, 0.066)
V (0.817, 0.504, 0.455)
V (0.821, 0.702, 0.252)
V (0.823, 0.103, 0.855)
O (0.078, 0.852, 0.011)
O (0.080, 0.250, 0.595)
O (0.081, 0.445, 0.404)
O (0.084, 0.660, 0.190)
O (0.086, 0.053, 0.786)
O (0.254, 0.101, 0.075)
O (0.256, 0.506, 0.678)
O (0.259, 0.291, 0.877)
O (0.261, 0.888, 0.277)
O (0.263, 0.694, 0.468)
O (0.327, 0.041, 0.470)
O (0.340, 0.442, 0.058)
O (0.340, 0.634, 0.873)
O (0.341, 0.226, 0.276)
O (0.345, 0.843, 0.653)
O (0.390, 0.164, 0.655)
O (0.393, 0.363, 0.455)
O (0.395, 0.765, 0.055)
O (0.411, 0.558, 0.254)
O (0.411, 0.962, 0.857)
O (0.589, 0.038, 0.143)
O (0.589, 0.442, 0.746)
O (0.605, 0.235, 0.945)
O (0.607, 0.637, 0.545)
O (0.610, 0.836, 0.345)
O (0.655, 0.157, 0.347)
O (0.659, 0.774, 0.724)
O (0.660, 0.366, 0.127)
O (0.660, 0.558, 0.942)
O (0.673, 0.959, 0.530)
O (0.737, 0.306, 0.532)
O (0.739, 0.112, 0.723)
O (0.741, 0.709, 0.123)
O (0.744, 0.494, 0.322)
O (0.746, 0.899, 0.925)
O (0.914, 0.947, 0.214)
O (0.916, 0.340, 0.810)
O (0.919, 0.555, 0.596)
O (0.920, 0.750, 0.405)
O (0.922, 0.148, 0.989)

Summary:
Uncorrected energy in eV/atom: -7.766
Theoretical density in g/cm³: 4.151
Total magnetic moment in μB/atom: 0.765
Formation energy from the elements in eV per atom: -2.40



theoretical density of number 4 (KTbSnWO6)? 6.670 g/cm³



Repeat the eleventh record exactly.
Material: KV13O20
Method: DFT, GGA+U
State: relaxed

Lattice parameters (Å, degrees): 7.641 8.585 12.907 87.39 75.15 87.56
Atoms (fractional coordinates):
K (0.001, 0.300, 0.191)
K (0.999, 0.700, 0.809)
V (0.177, 0.897, 0.145)
V (0.179, 0.298, 0.748)
V (0.183, 0.496, 0.545)
V (0.189, 0.072, 0.934)
V (0.189, 0.670, 0.331)
V (0.194, 0.032, 0.634)
V (0.196, 0.239, 0.426)
V (0.201, 0.639, 0.028)
V (0.454, 0.217, 0.099)
V (0.454, 0.810, 0.495)
V (0.457, 0.622, 0.703)
V (0.461, 0.009, 0.294)
V (0.461, 0.415, 0.897)
V (0.539, 0.585, 0.103)
V (0.539, 0.991, 0.706)
V (0.543, 0.378, 0.297)
V (0.546, 0.190, 0.505)
V (0.546, 0.783, 0.901)
V (0.799, 0.361, 0.972)
V (0.804, 0.761, 0.574)
V (0.806, 0.968, 0.366)
V (0.811, 0.330, 0.669)
V (0.811, 0.928, 0.066)
V (0.817, 0.504, 0.455)
V (0.821, 0.702, 0.252)
V (0.823, 0.103, 0.855)
O (0.078, 0.852, 0.011)
O (0.080, 0.250, 0.595)
O (0.081, 0.445, 0.404)
O (0.084, 0.660, 0.190)
O (0.086, 0.053, 0.786)
O (0.254, 0.101, 0.075)
O (0.256, 0.506, 0.678)
O (0.259, 0.291, 0.877)
O (0.261, 0.888, 0.277)
O (0.263, 0.694, 0.468)
O (0.327, 0.041, 0.470)
O (0.340, 0.442, 0.058)
O (0.340, 0.634, 0.873)
O (0.341, 0.226, 0.276)
O (0.345, 0.843, 0.653)
O (0.390, 0.164, 0.655)
O (0.393, 0.363, 0.455)
O (0.395, 0.765, 0.055)
O (0.411, 0.558, 0.254)
O (0.411, 0.962, 0.857)
O (0.589, 0.038, 0.143)
O (0.589, 0.442, 0.746)
O (0.605, 0.235, 0.945)
O (0.607, 0.637, 0.545)
O (0.610, 0.836, 0.345)
O (0.655, 0.157, 0.347)
O (0.659, 0.774, 0.724)
O (0.660, 0.366, 0.127)
O (0.660, 0.558, 0.942)
O (0.673, 0.959, 0.530)
O (0.737, 0.306, 0.532)
O (0.739, 0.112, 0.723)
O (0.741, 0.709, 0.123)
O (0.744, 0.494, 0.322)
O (0.746, 0.899, 0.925)
O (0.914, 0.947, 0.214)
O (0.916, 0.340, 0.810)
O (0.919, 0.555, 0.596)
O (0.920, 0.750, 0.405)
O (0.922, 0.148, 0.989)

Summary:
Uncorrected energy in eV/atom: -7.766
Theoretical density in g/cm³: 4.151
Total magnetic moment in μB/atom: 0.765
Formation energy from the elements in eV per atom: -2.40



Which of these has the lowest uncorrected energy? KTaW2O9



Which value of formation energy from the elements does entry 6 give? -2.94 eV per atom